## YbTaO4 (r2SCAN)

Data for crystalline YbTaO4 at its relaxed geometry.

Computed properties:
* formation energy: -347.89 kJ per mole of atoms
* magnetization: 0.0 μB per cell
* volume: 11.762 Å³ per atom

```
data_YbTaO4
_space_group_name_H-M_alt 'C 1 2/c 1'
_space_group_IT_number 15
_cell_length_a 6.911
_cell_length_b 10.793
_cell_length_c 5.023
_cell_angle_alpha 90.00
_cell_angle_beta 131.11
_cell_angle_gamma 90.00
loop_
_space_group_symop_operation_xyz
'x,y,z'
'-x,-y,-z'
'-x,y,-z+1/2'
'x,-y,z+1/2'
'x+1/2,y+1/2,z'
'-x+1/2,-y+1/2,-z'
'-x+1/2,y+1/2,-z+1/2'
'x+1/2,-y+1/2,z+1/2'
loop_
_atom_site_label
_atom_site_type_symbol
_atom_site_fract_x
_atom_site_fract_y
_atom_site_fract_z
Yb1 Yb 0.000 0.131 0.250
Ta1 Ta 0.000 0.396 0.750
O1 O 0.163 0.288 0.662
O2 O 0.247 0.469 0.219
```